# Sc2ZnIn r2SCAN relaxed
# * total moment: 0.00 μB/f.u.
# * calculated formation energy: -1.81 eV per formula unit
data_Sc2ZnIn
_symmetry_space_group_name_H-M 'F m -3 m'
_symmetry_Int_Tables_number 225
_symmetry_space_group_name_Hall '-F 4 2 3'
_cell_length_a 6.9017
_cell_length_b 6.9017
_cell_length_c 6.9017
_cell_angle_alpha 90.00
_cell_angle_beta 90.00
_cell_angle_gamma 90.00
loop_
_atom_site_label
_atom_site_type_symbol
_atom_site_fract_x
_atom_site_fract_y
_atom_site_fract_z
Sc1 Sc 0.2500 0.2500 0.2500
Zn1 Zn 0.0000 0.0000 0.0000
In1 In 0.0000 0.0000 0.5000



# AsS r2SCAN relaxed
# * total moment: 0.00 μB/f.u.
# * calculated formation energy: -0.27 eV per formula unit
# * distance to the lowest polymorph of the same formula: 0.025 eV/atom
data_AsS
_symmetry_space_group_name_H-M 'P 1 21/c 1'
_symmetry_Int_Tables_number 14
_symmetry_space_group_name_Hall '-P 2ybc'
_cell_length_a 10.1931
_cell_length_b 9.8276
_cell_length_c 8.6963
_cell_angle_alpha 90.00
_cell_angle_beta 97.69
_cell_angle_gamma 90.00
loop_
_atom_site_label
_atom_site_type_symbol
_atom_site_fract_x
_atom_site_fract_y
_atom_site_fract_z
As1 As 0.0853 0.0444 0.3225
As2 As 0.1492 0.6546 0.6661
As3 As 0.3165 0.1335 0.0442
As4 As 0.3684 0.6380 0.8402
S1 S 0.1670 0.2160 0.1918
S2 S 0.1974 0.5533 0.4554
S3 S 0.2544 0.5221 0.0058
S4 S 0.4670 0.0247 0.2153